Entry 1:
VASP calculation (meta-GGA r2SCAN) on Nd2Co14B after structural relaxation.

Output
Uncorrected energy   -14.87 eV/atom
Magnetic moment   86.5 μB/cell
Formation enthalpy at 0 K   -1.293 eV per formula unit
SG   P4_2/mnm (136)

Structure (POSCAR):
```
Nd2Co14B
1.0
8.577 0.000 0.000
0.000 8.577 0.000
0.000 0.000 11.817
Co Nd B
56 8 4
Direct
0.600 0.400 0.290 Co
0.500 0.500 0.115 Co
0.184 0.816 0.747 Co
0.100 0.100 0.210 Co
0.684 0.684 0.753 Co
0.600 0.400 0.710 Co
0.967 0.642 0.180 Co
0.933 0.722 0.375 Co
0.184 0.816 0.253 Co
0.684 0.684 0.247 Co
0.933 0.722 0.625 Co
0.358 0.033 0.180 Co
0.722 0.933 0.625 Co
0.567 0.222 0.875 Co
0.100 0.100 0.790 Co
0.142 0.533 0.320 Co
0.000 0.500 0.000 Co
0.400 0.600 0.290 Co
0.000 0.500 0.500 Co
0.316 0.316 0.753 Co
0.567 0.222 0.125 Co
0.278 0.067 0.625 Co
0.033 0.358 0.820 Co
0.500 0.000 0.500 Co
0.500 0.000 0.000 Co
0.033 0.358 0.180 Co
0.278 0.067 0.375 Co
0.000 0.000 0.615 Co
0.533 0.142 0.320 Co
0.316 0.316 0.247 Co
0.067 0.278 0.625 Co
0.900 0.900 0.790 Co
0.433 0.778 0.875 Co
0.222 0.567 0.875 Co
0.433 0.778 0.125 Co
0.778 0.433 0.875 Co
0.467 0.858 0.680 Co
0.778 0.433 0.125 Co
0.400 0.600 0.710 Co
0.358 0.033 0.820 Co
0.858 0.467 0.680 Co
0.467 0.858 0.320 Co
0.967 0.642 0.820 Co
0.816 0.184 0.747 Co
0.858 0.467 0.320 Co
0.222 0.567 0.125 Co
0.642 0.967 0.180 Co
0.142 0.533 0.680 Co
0.642 0.967 0.820 Co
0.722 0.933 0.375 Co
0.000 0.000 0.385 Co
0.533 0.142 0.680 Co
0.500 0.500 0.885 Co
0.816 0.184 0.253 Co
0.067 0.278 0.375 Co
0.900 0.900 0.210 Co
0.143 0.857 0.000 Nd
0.357 0.357 0.500 Nd
0.270 0.270 0.000 Nd
0.770 0.230 0.500 Nd
0.730 0.730 0.000 Nd
0.643 0.643 0.500 Nd
0.857 0.143 0.000 Nd
0.230 0.770 0.500 Nd
0.125 0.125 0.500 B
0.625 0.375 0.000 B
0.375 0.625 0.000 B
0.875 0.875 0.500 B
```



Entry 2:
VASP calculation (meta-GGA r2SCAN) on NdCo2B2 after structural relaxation.

Output
Uncorrected energy   -14.58 eV/atom
Magnetic moment   0.0 μB/cell
Formation enthalpy at 0 K   -2.314 eV per formula unit
SG   I4/mmm (139)

Structure (POSCAR):
```
NdCo2B2
1.0
3.370 0.000 -1.169
-0.406 3.345 -1.169
0.045 0.051 5.569
Co B Nd
2 2 1
Direct
0.250 0.750 0.500 Co
0.750 0.250 0.500 Co
0.664 0.664 0.329 B
0.336 0.336 0.671 B
0.000 0.000 0.000 Nd
```



Entry 3:
VASP calculation (meta-GGA r2SCAN) on PrCo2B2 after structural relaxation.

Output
Uncorrected energy   -14.55 eV/atom
Magnetic moment   0.0 μB/cell
Formation enthalpy at 0 K   -2.202 eV per formula unit
SG   I4/mmm (139)

Structure (POSCAR):
```
PrCo2B2
1.0
3.382 0.000 -1.152
-0.393 3.359 -1.152
0.032 0.036 5.633
B Co Pr
2 2 1
Direct
0.666 0.666 0.333 B
0.334 0.334 0.667 B
0.250 0.750 0.500 Co
0.750 0.250 0.500 Co
0.000 0.000 0.000 Pr
```



Entry 4:
VASP calculation (meta-GGA r2SCAN) on Pr5Co2B6 after structural relaxation.

Output
Uncorrected energy   -17.12 eV/atom
Magnetic moment   0.0 μB/cell
Formation enthalpy at 0 K   -5.039 eV per formula unit
SG   R-3m (166)

Structure (POSCAR):
```
Pr5Co2B6
1.0
5.238 0.029 7.281
2.368 4.673 7.281
0.047 0.029 8.970
Co Pr B
2 5 6
Direct
0.124 0.124 0.124 Co
0.876 0.876 0.876 Co
0.583 0.583 0.583 Pr
0.250 0.250 0.250 Pr
0.000 0.000 0.000 Pr
0.417 0.417 0.417 Pr
0.750 0.750 0.750 Pr
0.166 0.500 0.834 B
0.166 0.834 0.500 B
0.834 0.500 0.166 B
0.834 0.166 0.500 B
0.500 0.834 0.166 B
0.500 0.166 0.834 B
```



Entry 5:
VASP calculation (meta-GGA r2SCAN) on PrCo4B4 after structural relaxation.

Output
Uncorrected energy   -12.79 eV/atom
Magnetic moment   0.0 μB/cell
Formation enthalpy at 0 K   -3.339 eV per formula unit
SG   P4_2/n (86)

Structure (POSCAR):
```
PrCo4B4
1.0
7.051 0.000 0.000
0.000 7.051 0.000
0.000 0.000 3.768
B Co Pr
8 8 2
Direct
0.589 0.453 0.353 B
0.453 0.911 0.147 B
0.953 0.411 0.853 B
0.047 0.589 0.147 B
0.547 0.089 0.853 B
0.911 0.047 0.353 B
0.089 0.953 0.647 B
0.411 0.547 0.647 B
0.892 0.135 0.855 Co
0.108 0.865 0.145 Co
0.635 0.108 0.355 Co
0.365 0.892 0.645 Co
0.135 0.608 0.645 Co
0.608 0.365 0.855 Co
0.392 0.635 0.145 Co
0.865 0.392 0.355 Co
0.750 0.750 0.750 Pr
0.250 0.250 0.250 Pr
```



Entry 6:
VASP calculation (meta-GGA r2SCAN) on ScCo3B2 after structural relaxation.

Output
Uncorrected energy   -11.42 eV/atom
Magnetic moment   0.0 μB/cell
Formation enthalpy at 0 K   -2.722 eV per formula unit
SG   P6/mmm (191)

Structure (POSCAR):
```
ScCo3B2
1.0
4.869 0.000 0.000
-2.434 4.217 0.000
0.000 0.000 2.935
Sc Co B
1 3 2
Direct
0.000 0.000 0.000 Sc
0.500 0.500 0.500 Co
0.000 0.500 0.500 Co
0.500 0.000 0.500 Co
0.667 0.333 0.000 B
0.333 0.667 0.000 B
```



Entry 7:
VASP calculation (meta-GGA r2SCAN) on SmCo2B2 after structural relaxation.

Output
Uncorrected energy   -14.67 eV/atom
Magnetic moment   0.0 μB/cell
Formation enthalpy at 0 K   -2.465 eV per formula unit
SG   I4/mmm (139)

Structure (POSCAR):
```
SmCo2B2
1.0
-1.952 -2.024 2.176
0.461 -2.778 -2.170
4.755 1.159 2.438
Co B Sm
2 2 1
Direct
0.250 0.750 0.500 Co
0.750 0.250 0.500 Co
0.661 0.661 0.322 B
0.339 0.339 0.678 B
0.000 0.000 0.000 Sm
```



Entry 8:
VASP calculation (meta-GGA r2SCAN) on SmCo4B4 after structural relaxation.

Output
Uncorrected energy   -12.87 eV/atom
Magnetic moment   0.0 μB/cell
Formation enthalpy at 0 K   -3.771 eV per formula unit
SG   P4_2/n (86)

Structure (POSCAR):
```
SmCo4B4
1.0
2.375 -2.563 1.421
-3.615 -5.082 -3.122
4.036 0.604 -5.657
B Co Sm
8 8 2
Direct
0.646 0.089 0.953 B
0.354 0.911 0.047 B
0.854 0.953 0.411 B
0.146 0.047 0.589 B
0.146 0.453 0.911 B
0.854 0.547 0.089 B
0.646 0.411 0.547 B
0.354 0.589 0.453 B
0.357 0.634 0.108 Co
0.643 0.134 0.608 Co
0.143 0.108 0.866 Co
0.857 0.608 0.366 Co
0.357 0.866 0.392 Co
0.857 0.892 0.134 Co
0.143 0.392 0.634 Co
0.643 0.366 0.892 Co
0.750 0.750 0.750 Sm
0.250 0.250 0.250 Sm
```



Entry 9:
VASP calculation (meta-GGA r2SCAN) on SmCo3B2 after structural relaxation.

Output
Uncorrected energy   -14.37 eV/atom
Magnetic moment   0.9 μB/cell
Formation enthalpy at 0 K   -2.081 eV per formula unit
SG   P6/mmm (191)

Structure (POSCAR):
```
SmCo3B2
1.0
5.089 0.000 0.000
-2.545 4.407 0.000
0.000 0.000 2.932
B Co Sm
2 3 1
Direct
0.667 0.333 0.000 B
0.333 0.667 0.000 B
0.000 0.500 0.500 Co
0.500 0.500 0.500 Co
0.500 0.000 0.500 Co
0.000 0.000 0.000 Sm
```



Entry 10:
VASP calculation (meta-GGA r2SCAN) on Sm2Co14B after structural relaxation.

Output
Uncorrected energy   -14.93 eV/atom
Magnetic moment   85.3 μB/cell
Formation enthalpy at 0 K   -1.700 eV per formula unit
SG   P4_2/mnm (136)

Structure (POSCAR):
```
Sm2Co14B
1.0
-3.192 -7.872 0.947
2.668 -0.105 8.120
-10.251 4.570 3.427
Co Sm B
56 8 4
Direct
0.222 0.567 0.125 Co
0.534 0.142 0.679 Co
0.466 0.858 0.321 Co
0.100 0.100 0.793 Co
0.500 0.000 0.500 Co
0.034 0.358 0.821 Co
0.722 0.933 0.375 Co
0.466 0.858 0.679 Co
0.067 0.278 0.375 Co
0.000 0.500 0.500 Co
0.222 0.567 0.875 Co
0.817 0.183 0.747 Co
0.000 0.000 0.617 Co
0.358 0.034 0.179 Co
0.933 0.722 0.625 Co
0.966 0.642 0.821 Co
0.278 0.067 0.625 Co
0.142 0.534 0.679 Co
0.900 0.900 0.793 Co
0.000 0.500 0.000 Co
0.500 0.500 0.883 Co
0.067 0.278 0.625 Co
0.278 0.067 0.375 Co
0.778 0.433 0.125 Co
0.500 0.500 0.117 Co
0.433 0.778 0.125 Co
0.900 0.900 0.207 Co
0.433 0.778 0.875 Co
0.100 0.100 0.207 Co
0.683 0.683 0.247 Co
0.317 0.317 0.247 Co
0.183 0.817 0.747 Co
0.400 0.600 0.293 Co
0.567 0.222 0.875 Co
0.534 0.142 0.321 Co
0.817 0.183 0.253 Co
0.000 0.000 0.383 Co
0.600 0.400 0.707 Co
0.567 0.222 0.125 Co
0.317 0.317 0.753 Co
0.358 0.034 0.821 Co
0.966 0.642 0.179 Co
0.142 0.534 0.321 Co
0.858 0.466 0.679 Co
0.642 0.966 0.179 Co
0.600 0.400 0.293 Co
0.400 0.600 0.707 Co
0.778 0.433 0.875 Co
0.933 0.722 0.375 Co
0.034 0.358 0.179 Co
0.642 0.966 0.821 Co
0.858 0.466 0.321 Co
0.683 0.683 0.753 Co
0.500 0.000 0.000 Co
0.722 0.933 0.625 Co
0.183 0.817 0.253 Co
0.728 0.728 0.000 Sm
0.272 0.272 0.000 Sm
0.356 0.356 0.500 Sm
0.772 0.228 0.500 Sm
0.644 0.644 0.500 Sm
0.228 0.772 0.500 Sm
0.856 0.144 0.000 Sm
0.144 0.856 0.000 Sm
0.124 0.124 0.500 B
0.376 0.624 0.000 B
0.624 0.376 0.000 B
0.876 0.876 0.500 B
```



Entry 11:
VASP calculation (meta-GGA r2SCAN) on Th2CoB10 after structural relaxation.

Output
Uncorrected energy   -18.62 eV/atom
Magnetic moment   0.0 μB/cell
Formation enthalpy at 0 K   -8.370 eV per formula unit
SG   Pbam (55)

Structure (POSCAR):
```
Th2CoB10
1.0
-3.830 1.629 0.386
-1.996 -3.847 -3.570
-2.067 -6.895 8.586
Th B Co
4 20 2
Direct
0.500 0.699 0.134 Th
0.500 0.301 0.866 Th
0.500 0.199 0.366 Th
0.500 0.801 0.634 Th
0.000 0.153 0.697 B
0.300 0.200 0.113 B
0.300 0.300 0.613 B
0.000 0.034 0.187 B
0.300 0.800 0.887 B
0.000 0.628 0.960 B
0.000 0.466 0.687 B
0.700 0.800 0.887 B
0.000 0.128 0.540 B
0.000 0.847 0.303 B
0.700 0.300 0.613 B
0.000 0.534 0.313 B
0.700 0.700 0.387 B
0.700 0.200 0.113 B
0.000 0.372 0.040 B
0.300 0.700 0.387 B
0.000 0.872 0.460 B
0.000 0.966 0.813 B
0.000 0.653 0.803 B
0.000 0.347 0.197 B
0.000 0.500 0.500 Co
0.000 0.000 0.000 Co
```



Entry 12:
VASP calculation (meta-GGA r2SCAN) on TmCo3B2 after structural relaxation.

Output
Uncorrected energy   -15.37 eV/atom
Magnetic moment   0.0 μB/cell
Formation enthalpy at 0 K   -2.700 eV per formula unit
SG   P6/mmm (191)

Structure (POSCAR):
```
TmCo3B2
1.0
4.940 0.000 0.000
-2.470 4.278 0.000
0.000 0.000 2.968
B Co Tm
2 3 1
Direct
0.667 0.333 0.000 B
0.333 0.667 0.000 B
0.000 0.500 0.500 Co
0.500 0.000 0.500 Co
0.500 0.500 0.500 Co
0.000 0.000 0.000 Tm
```



Entry 13:
VASP calculation (meta-GGA r2SCAN) on U2Co21B6 after structural relaxation.

Output
Uncorrected energy   -16.81 eV/atom
Magnetic moment   23.4 μB/cell
Formation enthalpy at 0 K   -5.573 eV per formula unit
SG   Fm-3m (225)

Structure (POSCAR):
```
U2Co21B6
1.0
0.000 5.278 5.278
5.278 0.000 5.278
5.278 5.278 0.000
Co U B
21 2 6
Direct
0.339 0.000 0.661 Co
0.617 0.150 0.617 Co
0.383 0.850 0.383 Co
0.000 0.339 0.661 Co
0.000 0.000 0.339 Co
0.850 0.383 0.383 Co
0.000 0.661 0.000 Co
0.661 0.339 0.000 Co
0.000 0.661 0.339 Co
0.617 0.617 0.150 Co
0.339 0.000 0.000 Co
0.150 0.617 0.617 Co
0.617 0.617 0.617 Co
0.339 0.661 0.000 Co
0.661 0.000 0.339 Co
0.383 0.383 0.850 Co
0.000 0.339 0.000 Co
0.000 0.000 0.000 Co
0.383 0.383 0.383 Co
0.661 0.000 0.000 Co
0.000 0.000 0.661 Co
0.250 0.250 0.250 U
0.750 0.750 0.750 U
0.726 0.274 0.726 B
0.726 0.726 0.274 B
0.274 0.726 0.274 B
0.274 0.726 0.726 B
0.726 0.274 0.274 B
0.274 0.274 0.726 B
```



Entry 14:
VASP calculation (meta-GGA r2SCAN) on UCo3B2 after structural relaxation.

Output
Uncorrected energy   -22.76 eV/atom
Magnetic moment   1.6 μB/cell
Formation enthalpy at 0 K   -2.246 eV per formula unit
SG   P6/mmm (191)

Structure (POSCAR):
```
UCo3B2
1.0
2.480 -4.295 0.000
2.480 4.295 0.000
0.000 0.000 2.999
Co B U
3 2 1
Direct
0.000 0.500 0.500 Co
0.500 0.000 0.500 Co
0.500 0.500 0.500 Co
0.667 0.333 0.000 B
0.333 0.667 0.000 B
0.000 0.000 0.000 U
```



Entry 15:
VASP calculation (meta-GGA r2SCAN) on U3Co7B2 after structural relaxation.

Output
Uncorrected energy   -29.19 eV/atom
Magnetic moment   6.8 μB/cell
Formation enthalpy at 0 K   -3.127 eV per formula unit
SG   P6_3/mmc (194)

Structure (POSCAR):
```
U3Co7B2
1.0
-1.166 4.798 0.030
-3.405 -3.376 1.177
3.754 0.830 13.243
B U Co
4 6 14
Direct
0.333 0.667 0.750 B
0.000 0.000 0.750 B
0.000 0.000 0.250 B
0.667 0.333 0.250 B
0.333 0.667 0.029 U
0.333 0.667 0.250 U
0.667 0.333 0.750 U
0.667 0.333 0.971 U
0.333 0.667 0.471 U
0.667 0.333 0.529 U
0.669 0.835 0.853 Co
0.165 0.331 0.853 Co
0.331 0.165 0.147 Co
0.000 0.000 0.500 Co
0.165 0.331 0.647 Co
0.165 0.835 0.853 Co
0.165 0.835 0.647 Co
0.835 0.669 0.353 Co
0.000 0.000 0.000 Co
0.835 0.165 0.353 Co
0.835 0.165 0.147 Co
0.331 0.165 0.353 Co
0.835 0.669 0.147 Co
0.669 0.835 0.647 Co
```